Entry 1:
Computed, not measured: an optimized crystal structure of Li7V3P8O29 at the PBE+U level of DFT.

```
94
Lattice="-9.8710 -0.0282 0.0707 -4.9109 8.5309 0.0672 0.0989 -0.0510 -13.9587" Properties=species:S:1:pos:R:3 pbc="T T T"
Li -10.4914 2.6667 -7.8006
Li -9.9720 5.7085 -5.3071
Li -9.9323 5.6982 -12.3177
Li -9.1335 2.6621 -0.8185
Li -7.6445 7.7280 -0.7949
Li -7.5846 2.0561 -6.0867
Li -6.8494 6.4938 -7.7908
Li -6.9944 0.8330 -13.0027
Li -5.5344 5.5473 -13.0626
Li -4.2647 5.6943 -5.9969
Li -2.6486 0.7553 -6.1990
Li -1.9674 1.9031 -13.1226
Li -14.2662 7.7627 -0.2223
Li -13.7975 8.3986 -7.1699
V -7.7069 3.6990 -3.3946
V -6.9935 4.7683 -10.3854
V -10.4235 8.4508 -10.3206
V -4.3099 -0.0066 -3.4318
V -12.6168 4.8062 -3.3389
V -2.0793 3.6973 -10.4262
P -12.7798 6.6029 -11.5624
P -12.1562 7.7764 -4.5889
P -10.5061 2.6982 -4.7250
P -9.7938 5.6768 -1.6999
P -9.7278 5.6349 -8.6670
P -9.1181 2.7160 -11.7067
P -7.8158 1.8881 -9.1459
P -7.5642 7.6943 -11.7063
P -7.1769 0.6877 -2.0524
P -6.9864 6.5655 -4.7096
P -5.6100 5.8465 -2.1570
P -4.9439 2.8084 -5.1238
P -4.8805 2.7776 -12.1066
P -4.1432 5.8178 -9.0291
P -2.6053 0.6740 -9.1861
P -1.9394 1.9153 -2.2064
O -3.8863 6.5629 -7.7383
O -12.7493 6.3717 -4.6971
O -7.6634 0.0766 -0.7621
O -11.8523 7.8389 -11.6398
O -11.8852 5.3463 -11.5193
O -11.2227 5.7324 -2.2290
O -11.0958 4.1068 -4.5300
O -10.9181 1.8508 -0.9056
O -10.6442 2.8189 -11.7589
O -10.4801 6.8711 -9.3083
O -10.6028 7.6527 -4.4744
O -10.4074 4.3311 -9.1640
O -9.6232 5.7202 -0.2046
O -9.6588 5.7144 -7.1707
O -9.1109 4.3380 -2.2430
O -9.0940 7.5271 -11.4943
O -8.9862 6.9056 -2.3203
O -8.9612 2.8133 -4.7308
O -8.7934 1.7842 -10.4298
O -8.6895 1.7866 -7.8983
O -8.5256 2.0696 -12.9334
O -8.5240 4.1329 -11.4474
O -8.2545 5.7132 -9.2501
O -7.7584 2.1108 -2.1827
O -7.9108 5.3344 -4.4747
O -7.8633 7.8338 -4.7674
O -12.7158 8.3722 -3.1991
O -7.6966 0.1545 -5.7655
O -7.1219 8.4180 -7.8874
O -6.8850 0.6855 -9.2174
O -7.0848 3.2354 -9.2193
O -6.9101 6.2981 -11.7331
O -6.4048 2.8627 -4.4901
O -6.3918 4.5286 -2.2744
O -5.9975 6.6267 -0.8972
O -6.1232 6.4056 -5.9343
O -6.0401 6.7647 -3.4275
O -5.6795 5.6525 -9.1859
O -5.6065 1.4762 -11.5687
O -5.6452 0.6684 -2.2139
O -5.6292 4.0311 -11.4351
O -5.0314 2.9076 -13.5860
O -5.0851 2.5542 -6.5884
O -4.1874 4.0887 -4.7202
O -4.1366 0.7473 -9.3543
O -4.2180 1.5614 -4.4348
O -4.1111 5.6903 -2.2237
O -13.5550 6.7711 -10.1592
O -3.9466 6.6357 -12.7279
O -3.4127 4.4961 -9.1868
O -3.4192 2.7553 -11.5987
O -2.7719 3.1737 -2.3475
O -2.8190 0.6402 -2.2339
O -2.3262 -0.0417 -13.0162
O -6.9325 8.4451 -10.4317
O -1.9491 2.0521 -9.1876
O -1.1363 2.0217 -6.0417
O -10.8585 1.7651 -3.4543
```

Computed properties:
space group	No. 1
MP2020-corrected energy	-7.524	eV/atom
energy relative to the lowest polymorph listed for this composition	35	kJ/mol of formula units

Entry 2:
Computed, not measured: an optimized crystal structure of LiV3P3O11 at the PBE+U level of DFT.

```
72
Lattice="-1.6239 2.4353 9.3096 -2.4609 -9.4799 2.0505 7.2303 -6.8186 3.0449" Properties=species:S:1:pos:R:3 pbc="T T T"
Li -1.2664 -2.3552 8.3069
Li 2.4247 -5.8784 9.3939
Li 0.7208 -7.9848 5.0111
Li 4.4119 -11.5080 6.0982
V 1.4122 -9.1102 11.4930
V 1.6361 -2.0861 7.2935
V 0.9316 -1.4117 4.2361
V 4.9703 -7.5953 6.6024
V -1.7654 -8.4962 10.7338
V 4.8671 -4.9193 11.0183
V -1.7216 -8.9440 3.3868
V 4.9109 -5.3671 3.6713
V -1.8248 -6.2680 7.8027
V 2.2138 -12.4515 10.1690
V 1.5094 -11.7772 7.1116
V 1.7333 -4.7530 2.9121
P 3.1563 -9.5312 8.7447
P 4.2303 -8.6800 3.5944
P -0.2505 -2.5481 1.3462
P -0.9435 0.0659 6.5347
P 0.7773 -10.9749 4.6081
P 2.7823 -5.0841 6.2069
P 0.3632 -8.7791 8.1982
P 2.3681 -2.8883 9.7970
P 4.0890 -13.9291 7.8703
P 3.3960 -11.3152 13.0588
P -1.0848 -5.1832 10.8107
P -0.0108 -4.3320 5.6604
O 2.0530 -10.6642 5.3890
O 3.1815 -9.1017 10.1980
O 1.9426 -8.6578 7.9881
O 4.3365 -9.2690 7.8415
O 0.4696 -2.8575 5.7493
O 0.5661 -3.8186 1.2720
O 1.7565 -7.0024 11.9135
O 5.5445 -9.7041 3.7751
O 3.7094 -8.3662 4.9827
O 2.5013 -2.6582 3.3776
O -0.5040 -1.9582 2.7444
O -0.1171 -0.8276 7.5567
O 4.8080 -6.7589 9.9629
O -0.6962 -0.3057 5.0701
O -0.0286 -10.2592 7.7770
O -1.2478 1.0150 9.7301
O 4.8348 -7.3916 2.9719
O -0.5844 -8.9322 12.4611
O 3.4246 -6.0933 7.1319
O -0.2536 -9.7748 4.7583
O 6.0176 -5.9192 5.4670
O 3.0358 -5.2545 4.6989
O 0.1097 -8.6088 9.7061
O -2.8721 -7.9441 8.9380
O 3.3991 -4.0885 9.6467
O -0.2792 -7.7700 7.2732
O 3.7298 -4.9311 1.9439
O -1.6893 -6.4717 11.4331
O 4.3933 -14.8782 4.6749
O 3.1741 -3.6041 6.6280
O 3.8417 -13.5575 9.3350
O -1.6625 -7.1043 4.4421
O 3.2626 -13.0356 6.8484
O 3.6495 -11.9051 11.6607
O 0.6442 -11.2051 11.0274
O -0.5639 -5.4970 9.4224
O -2.3990 -4.1592 10.6299
O 1.3890 -6.8609 2.4916
O 2.5794 -10.0447 13.1330
O 2.6759 -11.0058 8.6557
O -1.1910 -4.5943 6.5636
O 1.2029 -5.2054 6.4170
O -0.0360 -4.7615 4.2071
O 1.0925 -3.1990 9.0161
```

Computed properties:
space group	No. 14
MP2020-corrected energy	-8.092	eV/atom

Entry 3:
Computed, not measured: an optimized crystal structure of Li9V3P8O29 at the PBE+U level of DFT.

```
98
Lattice="-9.9558 -0.0319 -0.0071 -4.9504 8.5632 0.0160 -0.0102 -0.0314 -13.7802" Properties=species:S:1:pos:R:3 pbc="T T T"
Li -12.7705 6.4760 -0.8490
Li -12.1255 7.6440 -7.7423
Li -10.6418 2.8090 -7.8979
Li -9.8967 5.6703 -5.2084
Li -10.0635 5.5092 -12.0927
Li -9.3300 2.8331 -0.8897
Li -7.8758 7.6452 -0.8891
Li -7.8271 1.9747 -6.0082
Li -7.1163 6.5460 -7.7794
Li -5.6306 5.7314 -12.8140
Li -4.7065 2.8742 -8.5281
Li -4.9860 2.8339 -1.6857
Li -4.2776 5.7258 -6.0282
Li -2.7811 0.8337 -6.0419
Li -12.0364 3.7461 -10.2413
Li -2.0877 1.9381 -12.8194
Li -5.4883 8.2793 -13.7542
Li -5.0426 8.4713 -7.0452
V -7.7872 3.7064 -3.4298
V -7.1380 4.8384 -10.2829
V -6.9521 0.9489 -12.9274
V -10.5616 8.4620 -10.1697
V -4.3005 -0.0172 -3.4950
V -2.8006 4.8063 -3.4394
P -12.9093 6.5902 -11.6735
P -12.1939 7.7428 -4.7118
P -10.6241 2.6629 -4.7451
P -9.9510 5.6916 -1.6859
P -9.8669 5.6492 -8.5276
P -9.2472 2.6962 -11.5718
P -7.9062 1.9116 -8.9958
P -7.6967 7.7512 -11.6078
P -7.1719 0.7699 -2.1775
P -6.9666 6.6019 -4.7546
P -5.6476 5.8481 -2.1423
P -4.9746 2.8334 -5.1880
P -5.1085 2.7652 -12.1413
P -4.2759 5.8527 -9.0338
P -2.6694 0.7569 -9.0311
P -2.0057 1.8966 -2.1201
O -13.8241 6.6725 -7.8249
O -12.8905 6.3801 -4.7326
O -12.3754 8.5237 -0.8658
O -12.0556 7.9428 -11.6673
O -11.9827 5.4111 -11.6262
O -11.4242 5.7181 -2.2180
O -11.2494 4.0693 -4.5973
O -11.0358 1.8381 -0.9096
O -10.7315 2.6896 -11.7516
O -10.7250 6.8895 -9.0589
O -10.6705 7.5727 -4.5649
O -10.5065 4.3675 -9.0265
O -9.9212 5.7137 -0.1775
O -9.7748 5.7959 -7.0238
O -9.2551 4.3860 -2.2166
O -9.2233 7.6345 -11.4920
O -9.1739 6.9361 -2.2375
O -9.0948 2.7847 -4.7143
O -8.8352 1.7698 -10.3292
O -8.8397 1.9427 -7.7939
O -8.5772 1.9837 -12.8289
O -8.6657 4.1007 -11.4209
O -8.4086 5.8237 -9.1189
O -7.9381 2.0898 -2.1098
O -7.8815 5.3778 -4.5798
O -7.8050 7.8831 -4.7571
O -12.7429 8.4669 -3.3499
O -7.6782 0.0148 -5.9159
O -7.1868 8.4953 -7.7979
O -7.0763 0.6250 -8.9587
O -7.0099 3.1510 -9.1668
O -7.0270 6.3709 -11.6318
O -6.4356 2.7782 -4.6194
O -6.2779 4.4468 -2.2630
O -6.1349 6.6324 -0.9230
O -6.0590 6.5655 -5.9718
O -6.0073 6.7159 -3.4458
O -5.8169 5.8207 -9.0896
O -5.8520 1.6161 -11.3288
O -5.6771 1.0163 -2.4002
O -5.7235 4.1107 -11.7018
O -5.6498 2.3361 -13.5890
O -5.0051 2.8220 -6.6929
O -4.2743 4.1344 -4.6472
O -4.2160 0.8730 -9.1590
O -4.1547 1.5966 -4.6708
O -4.1191 5.7130 -2.1068
O -13.7976 6.7222 -10.3470
O -3.9139 6.7108 -12.8649
O -3.6754 4.4729 -9.1336
O -3.6158 2.7259 -12.0609
O -2.9172 3.1390 -2.2156
O -2.8663 0.6250 -2.1451
O -7.2446 8.5107 -12.8622
O -7.0943 8.5187 -10.3357
O -2.0518 2.1262 -9.0410
O -1.1292 1.9193 -5.9576
O -11.0182 1.7969 -3.4320
```

Computed properties:
space group	No. 1
MP2020-corrected energy	-7.430	eV/atom
energy relative to the lowest polymorph listed for this composition	90	kJ/mol of formula units

Entry 4:
Computed, not measured: an optimized crystal structure of Li3VP2O8 at the PBE+U level of DFT.

```
42
Lattice="3.6007 4.4077 4.3472 5.2333 -6.3335 1.9734 1.7846 5.0407 -6.5740" Properties=species:S:1:pos:R:3 pbc="T T T"
Li 4.5637 4.3945 -4.2961
Li 5.8892 0.8187 -1.7949
Li 1.8003 2.2039 2.1736
Li 5.8858 -0.3821 1.2511
Li 8.6047 0.1594 0.4978
Li 2.0139 2.9556 -0.7513
Li 4.7328 3.4971 -1.5046
Li 4.7294 2.2963 1.5414
Li 6.0549 -1.2795 4.0427
V 0.0000 0.0000 0.0000
V 7.4177 1.5210 3.1410
V 3.2009 1.5940 -3.3944
P 3.2462 0.3707 -0.3479
P 7.0306 -1.7797 -1.3654
P 4.5331 -3.1176 2.1039
P 6.0855 6.2326 -2.3574
P 3.5879 4.8947 1.1120
P 7.3723 2.7443 0.0945
O 4.0150 2.5311 3.4478
O 4.0102 0.5015 0.9982
O 3.1046 -1.1048 -0.6858
O 5.5986 0.5811 3.5855
O 6.6452 1.9213 1.2144
O 8.7922 2.1031 -0.0766
O 4.4210 -3.3878 0.6052
O 5.5974 -2.1700 -1.7010
O 2.5950 4.8225 -4.6618
O 6.9969 -0.4739 -0.5250
O 5.7352 -2.1615 2.3065
O 8.0383 -0.3177 2.3181
O 2.5803 3.4327 -2.5715
O 4.8834 5.2765 -2.5600
O 3.6217 3.5889 0.2715
O 8.0236 -1.7075 4.4083
O 5.0212 5.2850 1.4475
O 6.1976 6.5028 -0.8587
O 1.8264 1.0119 -0.1768
O 3.9734 1.1937 -1.4679
O 5.0199 2.5339 -3.8389
O 7.5140 4.2198 0.4323
O 6.6084 2.6135 -1.2516
O 6.6036 0.5839 -3.7013
```

Computed properties:
space group	No. 2
MP2020-corrected energy	-7.350	eV/atom
energy relative to the lowest polymorph listed for this composition	24	kJ/mol of formula units

Entry 5:
Computed, not measured: an optimized crystal structure of LiVP5O15 at the PBE+U level of DFT.

```
88
Lattice="-3.9069 2.9950 12.7509 7.9876 -2.3980 3.0107 5.0687 9.0677 -0.5768" Properties=species:S:1:pos:R:3 pbc="T T T"
Li -0.6700 3.7958 8.0652
Li 8.2591 0.5883 4.2288
Li 0.8902 9.0764 10.9559
Li 9.8194 5.8689 7.1195
V 3.9938 -1.1990 1.5054
V 4.5747 4.8324 7.5924
V 6.5281 3.3349 1.2170
V 2.0403 0.2985 7.8808
P 5.8670 5.9492 13.7840
P 3.2824 3.7155 1.4008
P 4.6078 8.0634 12.0796
P 3.3316 1.6157 14.2068
P 3.6952 2.2044 5.8892
P 5.4541 7.4603 9.2955
P 7.0892 6.0793 2.7952
P 4.6100 0.4361 9.9036
P 2.1452 11.0873 9.0532
P 2.9124 2.8864 9.6299
P 9.5323 3.1160 5.8633
P 5.8177 8.0490 0.9780
P 4.5394 9.2286 5.2812
P 6.2369 6.7783 5.5549
P 1.9091 4.5687 5.7516
P 7.2402 5.0960 9.4332
P 2.0601 3.5854 12.3895
P -0.3829 6.5487 9.3215
P 4.5415 1.6013 3.1052
P 7.0041 -1.4226 6.1315
O 2.5474 3.1243 5.3098
O 3.1151 9.0603 5.6010
O 3.4174 2.5982 2.6113
O 3.5197 4.1961 9.1901
O 6.9028 -0.0701 5.5445
O 5.9352 7.0040 2.2361
O 4.4835 7.7087 10.5313
O 2.0910 2.1515 8.5864
O 5.8773 1.9419 2.4701
O 7.2110 6.4815 4.3295
O 2.2403 3.2542 0.4732
O 6.9090 6.4105 14.7116
O -1.7972 2.9614 9.4565
O 3.0228 5.0792 2.1664
O 6.0495 8.7928 8.8946
O 4.7463 3.8358 0.8833
O 5.7319 7.0665 12.5734
O 6.6019 6.5404 9.8750
O -0.1674 1.0480 4.5951
O 0.5847 7.6121 9.6656
O 4.4030 5.8289 14.3014
O 2.5113 5.0285 12.4592
O 4.6658 1.9560 4.6535
O 4.1525 2.1850 15.2803
O 0.7394 3.2322 13.0348
O 4.5002 2.9529 6.9270
O 9.3167 8.6167 10.5897
O 2.2465 9.7348 9.6403
O 7.0584 7.5132 6.5983
O 8.4099 6.4325 2.1500
O 6.6380 4.6362 2.7255
O 3.9914 1.9242 10.2713
O 8.5708 5.2746 8.8433
O 5.1580 7.7405 4.9135
O 3.2142 2.6607 12.9487
O 6.0342 0.6044 9.5838
O 4.9968 7.4797 -0.0955
O 3.0015 5.1898 6.6793
O 7.3042 8.3680 0.6196
O 4.1040 0.1615 2.9911
O 5.6297 5.4686 5.9946
O 5.0453 9.5032 12.1937
O 3.2720 7.7228 12.7147
O 3.6462 -0.0676 8.7888
O 1.9383 3.1832 10.8552
O 0.2745 0.2824 2.2719
O 5.5032 9.7323 6.3960
O 6.1265 4.5855 13.0184
O 4.6491 6.7118 8.2578
O 10.9465 6.7033 5.7283
O 8.5646 2.0526 5.5192
O 9.3039 4.5659 5.6911
O 3.0998 0.8719 6.2901
O 2.0576 5.3922 4.4355
O 6.1479 4.4749 8.5054
O 0.5785 4.3901 6.3415
O -0.1545 5.0988 9.4937
O 1.8451 1.2967 14.5652
O 8.8748 9.3823 12.9129
O 7.0918 4.2725 10.7492
```

Computed properties:
space group	No. 14
MP2020-corrected energy	-7.671	eV/atom

| no. | energy relative to the elements (eV/f.u.) | electronic total energy (eV/atom) | spin magnetization (μB per formula unit) |
| --- | --- | --- | --- |
| 1 | -126.2 | -6.991 | 4.00 |
| 2 | -45.8 | -7.388 | 9.00 |
| 3 | -132.8 | -6.919 | 6.00 |
| 4 | -37.7 | -6.836 | 2.00 |
| 5 | -56.5 | -7.125 | 1.00 |